No. 1
# TlPd3 | the Materials Project | PBE | relaxed
# energy of formation from the pure elements: -215 meV/atom
# crystal system: tetragonal
# calculated volume: 17.04 A^3/atom
data_TlPd3
_symmetry_space_group_name_H-M 'I 4/m m m'
_symmetry_Int_Tables_number 139
_symmetry_space_group_name_Hall '-I 4 2'
_cell_length_a 4.2154
_cell_length_b 4.2154
_cell_length_c 7.6695
_cell_angle_alpha 90.00
_cell_angle_beta 90.00
_cell_angle_gamma 90.00
loop_
_atom_site_label
_atom_site_type_symbol
_atom_site_fract_x
_atom_site_fract_y
_atom_site_fract_z
Tl1 Tl 0.0000 0.0000 0.0000
Pd1 Pd 0.0000 0.0000 0.5000
Pd2 Pd 0.0000 0.5000 0.2500

No. 2
# Ho2MgTl | the Materials Project | PBE | relaxed
# energy of formation from the pure elements: -220 meV/atom
# crystal system: cubic
# calculated volume: 26.64 A^3/atom
data_Ho2MgTl
_symmetry_space_group_name_H-M 'F m -3 m'
_symmetry_Int_Tables_number 225
_symmetry_space_group_name_Hall '-F 4 2 3'
_cell_length_a 7.5260
_cell_length_b 7.5260
_cell_length_c 7.5260
_cell_angle_alpha 90.00
_cell_angle_beta 90.00
_cell_angle_gamma 90.00
loop_
_atom_site_label
_atom_site_type_symbol
_atom_site_fract_x
_atom_site_fract_y
_atom_site_fract_z
Ho1 Ho 0.2500 0.2500 0.2500
Mg1 Mg 0.0000 0.0000 0.0000
Tl1 Tl 0.0000 0.0000 0.5000

No. 3
# NaPrC2O6 | the Materials Project | PBE | relaxed
# energy of formation from the pure elements: -2526 meV/atom
# crystal system: orthorhombic
# calculated volume: 12.02 A^3/atom
data_NaPrC2O6
_symmetry_space_group_name_H-M 'P m c 21'
_symmetry_Int_Tables_number 26
_cell_length_a 5.1876
_cell_length_b 6.4341
_cell_length_c 7.2015
_cell_angle_alpha 90.00
_cell_angle_beta 90.00
_cell_angle_gamma 90.00
loop_
_symmetry_equiv_pos_as_xyz
'x,y,z'
'-x,-y,z+1/2'
'-x,y,z'
'x,-y,z+1/2'
loop_
_atom_site_label
_atom_site_type_symbol
_atom_site_fract_x
_atom_site_fract_y
_atom_site_fract_z
Na1 Na 0.0000 0.0178 0.0000
Pr1 Pr 0.5000 0.3709 0.3000
C1 C 0.0000 0.4631 0.9708
C2 C 0.5000 0.0809 0.7153
O1 O 0.0000 0.3585 0.3875
O2 O 0.2198 0.3743 0.0062
O3 O 0.2874 0.0158 0.2525
O4 O 0.5000 0.2641 0.6376

No. 4
# ZrU3Sb5 | the Materials Project | PBE | relaxed
# energy of formation from the pure elements: -542 meV/atom
# crystal system: hexagonal
# calculated volume: 25.48 A^3/atom
data_ZrU3Sb5
_symmetry_space_group_name_H-M 'P 63/m c m'
_symmetry_Int_Tables_number 193
_symmetry_space_group_name_Hall '-P 6c 2'
_cell_length_a 9.2468
_cell_length_b 9.2468
_cell_length_c 6.1941
_cell_angle_alpha 90.00
_cell_angle_beta 90.00
_cell_angle_gamma 120.00
loop_
_atom_site_label
_atom_site_type_symbol
_atom_site_fract_x
_atom_site_fract_y
_atom_site_fract_z
Zr1 Zr 0.0000 0.0000 0.0000
U1 U 0.0000 0.3872 0.2500
Sb1 Sb 0.0000 0.2719 0.7500
Sb2 Sb 0.3333 0.6667 0.0000

No. 5
# Al2Si2H4O9 | the Materials Project | PBE | relaxed
# ΔE to the lowest computed polymorph: 1 meV/atom
# energy of formation from the pure elements: -2611 meV/atom
# maximum piezoelectric response: 0.886 C/m2
# crystal system: triclinic
# calculated volume: 10.02 A^3/atom
data_Al2Si2H4O9
_symmetry_space_group_name_H-M 'P 1'
_symmetry_Int_Tables_number 1
_cell_length_a 5.2130
_cell_length_b 7.4788
_cell_length_c 9.0515
_cell_angle_alpha 88.21
_cell_angle_beta 89.73
_cell_angle_gamma 75.03
loop_
_symmetry_equiv_pos_as_xyz
'x,y,z'
loop_
_atom_site_label
_atom_site_type_symbol
_atom_site_fract_x
_atom_site_fract_y
_atom_site_fract_z
Al1 Al 0.0000 0.0000 0.0000
Al2 Al 0.0038 0.0011 0.6642
Al3 Al 0.4965 0.0039 0.4999
Al4 Al 0.5073 0.9980 0.1639
Si1 Si 0.2025 0.3835 0.0088
Si2 Si 0.2182 0.3840 0.3370
Si3 Si 0.7034 0.3861 0.5085
Si4 Si 0.7167 0.3828 0.8371
H1 H 0.2495 0.7510 0.4852
H2 H 0.2582 0.7434 0.1695
H3 H 0.2610 0.7442 0.8388
H4 H 0.3400 0.1630 0.7291
H5 H 0.7452 0.7510 0.6750
H6 H 0.7563 0.7446 0.9879
H7 H 0.7649 0.7463 0.3428
H8 H 0.8493 0.1483 0.2317
O1 O 0.1607 0.8730 0.8353
O2 O 0.2068 0.4783 0.1697
O3 O 0.2440 0.8688 0.5286
O4 O 0.2468 0.8714 0.1404
O5 O 0.2509 0.1538 0.6365
O6 O 0.2571 0.1602 0.0237
O7 O 0.3280 0.1611 0.3325
O8 O 0.4102 0.4797 0.4336
O9 O 0.4140 0.4529 0.9013
O10 O 0.6606 0.8742 0.3369
O11 O 0.7049 0.4790 0.6705
O12 O 0.7413 0.8761 0.6411
O13 O 0.7485 0.8642 0.0292
O14 O 0.7547 0.1631 0.5233
O15 O 0.7571 0.1484 0.1383
O16 O 0.8290 0.1601 0.8331
O17 O 0.9077 0.4772 0.9357
O18 O 0.9168 0.4561 0.4027

No. 6
# K2MgGeO4 | the Materials Project | PBE | relaxed
# energy of formation from the pure elements: -2361 meV/atom
# crystal system: orthorhombic
# calculated volume: 16.17 A^3/atom
data_K2MgGeO4
_symmetry_space_group_name_H-M 'P c a 21'
_symmetry_Int_Tables_number 29
_cell_length_a 11.3614
_cell_length_b 5.6793
_cell_length_c 16.0369
_cell_angle_alpha 90.00
_cell_angle_beta 90.00
_cell_angle_gamma 90.00
loop_
_symmetry_equiv_pos_as_xyz
'x,y,z'
'-x,-y,z+1/2'
'-x+1/2,y,z+1/2'
'x+1/2,-y,z'
loop_
_atom_site_label
_atom_site_type_symbol
_atom_site_fract_x
_atom_site_fract_y
_atom_site_fract_z
K1 K 0.0046 0.0145 0.0000
K2 K 0.0077 0.5123 0.6184
K3 K 0.2295 0.0336 0.3734
K4 K 0.2335 0.5343 0.2434
Mg1 Mg 0.0167 0.0219 0.7483
Mg2 Mg 0.2367 0.5129 0.4943
Ge1 Ge 0.0137 0.5227 0.8692
Ge2 Ge 0.2313 0.0100 0.1240
O1 O 0.0096 0.7833 0.3485
O2 O 0.0155 0.3117 0.2768
O3 O 0.0851 0.3927 0.4506
O4 O 0.0971 0.8869 0.1606
O5 O 0.1610 0.5848 0.8990
O6 O 0.1789 0.0900 0.7101
O7 O 0.1944 0.2603 0.0630
O8 O 0.1968 0.7925 0.5624

No. 7
# Tl2CoSe2 | the Materials Project | PBE | relaxed
# energy of formation from the pure elements: 465 meV/atom
# crystal system: tetragonal
# calculated volume: 31.06 A^3/atom
data_Tl2CoSe2
_symmetry_space_group_name_H-M 'I 4/m m m'
_symmetry_Int_Tables_number 139
_symmetry_space_group_name_Hall '-I 4 2'
_cell_length_a 5.0345
_cell_length_b 5.0345
_cell_length_c 12.2561
_cell_angle_alpha 90.00
_cell_angle_beta 90.00
_cell_angle_gamma 90.00
loop_
_atom_site_label
_atom_site_type_symbol
_atom_site_fract_x
_atom_site_fract_y
_atom_site_fract_z
Tl1 Tl 0.0000 0.5000 0.2500
Co1 Co 0.0000 0.0000 0.0000
Se1 Se 0.0000 0.0000 0.4019

No. 8
# LiHg3 | the Materials Project | PBE | relaxed
# energy of formation from the pure elements: -176 meV/atom
# crystal system: tetragonal
# calculated volume: 23.18 A^3/atom
data_LiHg3
_symmetry_space_group_name_H-M 'I 4/m m m'
_symmetry_Int_Tables_number 139
_symmetry_space_group_name_Hall '-I 4 2'
_cell_length_a 4.6443
_cell_length_b 4.6443
_cell_length_c 8.5987
_cell_angle_alpha 90.00
_cell_angle_beta 90.00
_cell_angle_gamma 90.00
loop_
_atom_site_label
_atom_site_type_symbol
_atom_site_fract_x
_atom_site_fract_y
_atom_site_fract_z
Li1 Li 0.0000 0.0000 0.0000
Hg1 Hg 0.0000 0.0000 0.5000
Hg2 Hg 0.0000 0.5000 0.2500

What is the energy of formation from the pure elements in the second record? -220 meV/atom

energy of formation from the pure elements of number 7 (Tl2CoSe2)? 465 meV/atom

Look up the calculated volume of the first one. 17.04 A^3/atom